Record 1
Here is crystalline MnSe at its relaxed geometry from Materials Project. Energies are from r2SCAN.

Results
Magnetic moment: 19.98 Bohr magnetons per cell
Energy: -30.85 eV per formula unit

a = 5.4686 Å, b = 5.4686 Å, c = 5.4686 Å
α = 90.00°, β = 90.00°, γ = 90.00°
Space group Fm-3m (No. 225)
Inequivalent atoms, fractional coordinates:
Mn1 0.0000 0.0000 0.0000 (multiplicity 4)
Se1 0.0000 0.0000 0.5000 (multiplicity 4)

Record 2
Here is crystalline NaB3O5 at its relaxed geometry from Materials Project. Energies are from r2SCAN.

Results
Magnetic moment: 0.00 Bohr magnetons per cell
Energy: -78.56 eV per formula unit

a = 10.0538 Å, b = 11.2673 Å, c = 10.8287 Å
α = 90.00°, β = 104.24°, γ = 90.00°
Space group P2_1/c (No. 14)
Inequivalent atoms, fractional coordinates:
Na1 0.0732 0.1373 0.3808 (multiplicity 4)
Na2 0.3553 0.6515 0.3930 (multiplicity 4)
Na3 0.4098 0.1346 0.5868 (multiplicity 4)
B1 0.0898 0.6998 0.9028 (multiplicity 4)
B2 0.1241 0.1712 0.1304 (multiplicity 4)
B3 0.1938 0.5710 0.0844 (multiplicity 4)
B4 0.2020 0.0548 0.7645 (multiplicity 4)
B5 0.2730 0.1013 0.9954 (multiplicity 4)
B6 0.2960 0.5887 0.9088 (multiplicity 4)
B7 0.3021 0.0265 0.2154 (multiplicity 4)
B8 0.3842 0.1965 0.8401 (multiplicity 4)
B9 0.4124 0.6731 0.1221 (multiplicity 4)
O1 0.0171 0.2291 0.1619 (multiplicity 4)
O2 0.0987 0.6655 0.0248 (multiplicity 4)
O3 0.1224 0.5020 0.1625 (multiplicity 4)
O4 0.1660 0.1812 0.0214 (multiplicity 4)
O5 0.1878 0.6705 0.8411 (multiplicity 4)
O6 0.1922 0.0969 0.2276 (multiplicity 4)
O7 0.2105 0.0237 0.8873 (multiplicity 4)
O8 0.2426 0.5046 0.9874 (multiplicity 4)
O9 0.2893 0.1444 0.7410 (multiplicity 4)
O10 0.3184 0.6237 0.1766 (multiplicity 4)
O11 0.3405 0.0271 0.1034 (multiplicity 4)
O12 0.3680 0.5377 0.8187 (multiplicity 4)
O13 0.3810 0.1788 0.9629 (multiplicity 4)
O14 0.4043 0.6649 0.9952 (multiplicity 4)
O15 0.4803 0.2366 0.3005 (multiplicity 4)

Record 3
Here is crystalline Mg14ZnGa at its relaxed geometry from Materials Project. Energies are from r2SCAN.

Results
Magnetic moment: 0.00 Bohr magnetons per cell
Energy: -78.78 eV per formula unit

a = 6.2425 Å, b = 6.2425 Å, c = 10.0326 Å
α = 90.00°, β = 90.00°, γ = 120.00°
Space group P-6m2 (No. 187)
Inequivalent atoms, fractional coordinates:
Mg1 0.0000 0.0000 0.2497 (multiplicity 2)
Mg2 0.0058 0.5029 0.2487 (multiplicity 6)
Mg3 0.3323 0.1662 0.0000 (multiplicity 3)
Mg4 0.3326 0.1663 0.5000 (multiplicity 3)
Zn1 0.3333 0.6667 0.0000 (multiplicity 1)
Ga1 0.3333 0.6667 0.5000 (multiplicity 1)

Record 4
Here is crystalline CeSi2Au2 at its relaxed geometry from Materials Project. Energies are from r2SCAN.

Results
Magnetic moment: 2.15 Bohr magnetons per cell
Energy: -152.74 eV per formula unit

a = 4.3356 Å, b = 4.3356 Å, c = 10.1583 Å
α = 90.00°, β = 90.00°, γ = 90.00°
Space group I4/mmm (No. 139)
Inequivalent atoms, fractional coordinates:
Ce1 0.0000 0.0000 0.0000 (multiplicity 2)
Si1 0.0000 0.0000 0.3856 (multiplicity 4)
Au1 0.0000 0.5000 0.2500 (multiplicity 4)

Record 5
Here is crystalline LaGa3Pt at its relaxed geometry from Materials Project. Energies are from r2SCAN.

Results
Magnetic moment: 0.00 Bohr magnetons per cell
Energy: -119.75 eV per formula unit

a = 4.3074 Å, b = 4.3074 Å, c = 10.5692 Å
α = 90.00°, β = 90.00°, γ = 90.00°
Space group I-4m2 (No. 119)
Inequivalent atoms, fractional coordinates:
La1 0.0000 0.0000 0.0000 (multiplicity 2)
Ga1 0.0000 0.0000 0.3808 (multiplicity 4)
Ga2 0.0000 0.5000 0.2500 (multiplicity 2)
Pt1 0.0000 0.5000 0.7500 (multiplicity 2)

Record 6
Here is crystalline YPaTc2 at its relaxed geometry from Materials Project. Energies are from r2SCAN.

Results
Magnetic moment: 0.00 Bohr magnetons per cell
Energy: -149.65 eV per formula unit

a = 6.8347 Å, b = 6.8347 Å, c = 6.8347 Å
α = 90.00°, β = 90.00°, γ = 90.00°
Space group Fm-3m (No. 225)
Inequivalent atoms, fractional coordinates:
Y1 0.0000 0.0000 0.0000 (multiplicity 4)
Pa1 0.0000 0.0000 0.5000 (multiplicity 4)
Tc1 0.2500 0.2500 0.2500 (multiplicity 8)

Record 7
Here is crystalline KLiMoO5 at its relaxed geometry from Materials Project. Energies are from r2SCAN.

Results
Magnetic moment: 16.00 Bohr magnetons per cell
Energy: -78.18 eV per formula unit

a = 7.1143 Å, b = 12.4848 Å, c = 10.6846 Å
α = 90.00°, β = 90.00°, γ = 90.00°
Space group Pbca (No. 61)
Inequivalent atoms, fractional coordinates:
K1 0.1590 0.1324 0.1958 (multiplicity 8)
Li1 0.0247 0.6662 0.5838 (multiplicity 8)
Mo1 0.0798 0.6173 0.8861 (multiplicity 8)
O1 0.0398 0.2019 0.5025 (multiplicity 8)
O2 0.0479 0.0026 0.6506 (multiplicity 8)
O3 0.1072 0.6948 0.7484 (multiplicity 8)
O4 0.1943 0.0818 0.9402 (multiplicity 8)
O5 0.1942 0.6275 0.4410 (multiplicity 8)

Record 8
Here is crystalline YSi2Ir2 at its relaxed geometry from Materials Project. Energies are from r2SCAN.

Results
Magnetic moment: 0.00 Bohr magnetons per cell
Energy: -148.51 eV per formula unit

a = 4.0681 Å, b = 4.0681 Å, c = 9.9257 Å
α = 90.00°, β = 90.00°, γ = 90.00°
Space group I4/mmm (No. 139)
Inequivalent atoms, fractional coordinates:
Y1 0.0000 0.0000 0.0000 (multiplicity 2)
Si1 0.0000 0.0000 0.3780 (multiplicity 4)
Ir1 0.0000 0.5000 0.2500 (multiplicity 4)